# Li2Fe5Si5O16 (PBE+U, relaxed)
# Polymorph energy (0 for the lowest one) (meV/atom): 30
# Calculated formation energy (kJ/mol of formula units): -6766
# Total moment (μB/f.u.): 20.0
data_Li2Fe5Si5O16
_symmetry_space_group_name_H-M 'P 1 21 1'
_symmetry_Int_Tables_number 4
_symmetry_space_group_name_Hall 'P 2yb'
_cell_length_a 6.8480
_cell_length_b 10.3240
_cell_length_c 10.2142
_cell_angle_alpha 90.00
_cell_angle_beta 90.35
_cell_angle_gamma 90.00
loop_
_atom_site_label
_atom_site_type_symbol
_atom_site_fract_x
_atom_site_fract_y
_atom_site_fract_z
_atom_site_occupancy
Li1 Li 0.2462 0.0000 0.4658 1
Li2 Li 0.2511 0.0125 0.9647 1
Fe1 Fe 0.2136 0.3301 0.7785 1
Fe2 Fe 0.2467 0.8328 0.7201 1
Fe3 Fe 0.2494 0.5342 0.0157 1
Fe4 Fe 0.2548 0.5369 0.5326 1
Fe5 Fe 0.2851 0.8332 0.2046 1
Si1 Si 0.0004 0.0721 0.7132 1
Si2 Si 0.0309 0.0800 0.2133 1
Si3 Si 0.2511 0.3324 0.2804 1
Si4 Si 0.4754 0.2629 0.0329 1
Si5 Si 0.4922 0.2574 0.5238 1
O1 O 0.0005 0.0506 0.5559 1
O2 O 0.0143 0.0666 0.0554 1
O3 O 0.0369 0.7208 0.2370 1
O4 O 0.0535 0.2416 0.2555 1
O5 O 0.1783 0.5291 0.7254 1
O6 O 0.1920 0.0084 0.7815 1
O7 O 0.1961 0.4813 0.2311 1
O8 O 0.2165 0.0065 0.2760 1
O9 O 0.2860 0.3374 0.9707 1
O10 O 0.3034 0.8141 0.5338 1
O11 O 0.3079 0.3346 0.4380 1
O12 O 0.3180 0.8307 0.0055 1
O13 O 0.4481 0.2862 0.1999 1
O14 O 0.4641 0.3029 0.6766 1
O15 O 0.4795 0.1027 0.4994 1
O16 O 0.4878 0.1096 0.0002 1

---

# RbHoW2O8 (PBE+U, relaxed)
# Calculated formation energy (kJ/mol of formula units): -3095
# Total moment (μB/f.u.): 0.0
data_RbHoW2O8
_symmetry_space_group_name_H-M 'C 1 2/c 1'
_symmetry_Int_Tables_number 15
_symmetry_space_group_name_Hall '-C 2yc'
_cell_length_a 10.8915
_cell_length_b 10.6166
_cell_length_c 7.4956
_cell_angle_alpha 90.00
_cell_angle_beta 130.06
_cell_angle_gamma 90.00
loop_
_atom_site_label
_atom_site_type_symbol
_atom_site_fract_x
_atom_site_fract_y
_atom_site_fract_z
_atom_site_occupancy
Rb1 Rb 0.0000 0.1995 0.2500 1
Ho1 Ho 0.0000 0.2239 0.7500 1
W1 W 0.1948 0.4947 0.7188 1
O1 O 0.0195 0.3896 0.9652 1
O2 O 0.1302 0.0853 0.6928 1
O3 O 0.1879 0.4324 0.4408 1
O4 O 0.2168 0.1568 0.1222 1

---

# CsCr3O8 (PBE+U, relaxed)
# Calculated formation energy (kJ/mol of formula units): -2250
data_CsCr3O8
_symmetry_space_group_name_H-M 'P n m a'
_symmetry_Int_Tables_number 62
_symmetry_space_group_name_Hall '-P 2ac 2n'
_cell_length_a 16.8668
_cell_length_b 5.5732
_cell_length_c 8.6632
_cell_angle_alpha 90.00
_cell_angle_beta 90.00
_cell_angle_gamma 90.00
loop_
_atom_site_label
_atom_site_type_symbol
_atom_site_fract_x
_atom_site_fract_y
_atom_site_fract_z
_atom_site_occupancy
Cs1 Cs 0.2303 0.2500 0.0143 1
Cr1 Cr 0.0399 0.7500 0.7426 1
Cr2 Cr 0.0819 0.7500 0.1279 1
Cr3 Cr 0.1058 0.2500 0.5490 1
O1 O 0.0195 0.2500 0.4566 1
O2 O 0.0312 0.5025 0.1731 1
O3 O 0.1034 0.7500 0.9369 1
O4 O 0.1139 0.0007 0.6603 1
O5 O 0.1667 0.7500 0.2173 1
O6 O 0.1795 0.2500 0.4288 1

---

# Np2Cr3N4O16 (PBE+U, relaxed)
# Calculated formation energy (kJ/mol of formula units): -2298
# Total moment (μB/f.u.): 12.0
data_Np2Cr3N4O16
_symmetry_space_group_name_H-M 'P -1'
_symmetry_Int_Tables_number 2
_symmetry_space_group_name_Hall '-P 1'
_cell_length_a 9.8106
_cell_length_b 10.3169
_cell_length_c 10.5532
_cell_angle_alpha 95.27
_cell_angle_beta 91.01
_cell_angle_gamma 114.40
loop_
_atom_site_label
_atom_site_type_symbol
_atom_site_fract_x
_atom_site_fract_y
_atom_site_fract_z
_atom_site_occupancy
Np1 Np 0.0241 0.1999 0.3046 1
Np2 Np 0.2977 0.4678 0.0502 1
Cr1 Cr 0.0804 0.5746 0.8223 1
Cr2 Cr 0.2431 0.0129 0.4571 1
Cr3 Cr 0.4276 0.2638 0.1679 1
N1 N 0.1023 0.8726 0.1034 1
N2 N 0.2763 0.6720 0.4557 1
N3 N 0.3004 0.3660 0.6573 1
N4 N 0.4277 0.0627 0.7982 1
O1 O 0.0218 0.4177 0.7492 1
O2 O 0.0691 0.3866 0.1390 1
O3 O 0.0760 0.9349 0.8216 1
O4 O 0.1273 0.0784 0.3804 1
O5 O 0.1271 0.3512 0.4156 1
O6 O 0.1400 0.8941 0.5639 1
O7 O 0.1601 0.6954 0.7236 1
O8 O 0.1963 0.5883 0.9541 1
O9 O 0.2230 0.3322 0.9205 1
O10 O 0.2551 0.2734 0.1830 1
O11 O 0.3053 0.9341 0.3508 1
O12 O 0.3739 0.5990 0.1829 1
O13 O 0.3816 0.1436 0.5331 1
O14 O 0.4146 0.1142 0.0992 1
O15 O 0.4778 0.6981 0.6986 1
O16 O 0.4960 0.5963 0.9321 1

---

# Ba5Ti4MoO15 (PBE+U, relaxed)
# Calculated formation energy (kJ/mol of formula units): -7932
# Total moment (μB/f.u.): 2.0
data_Ba5Ti4MoO15
_symmetry_space_group_name_H-M 'C m m m'
_symmetry_Int_Tables_number 65
_symmetry_space_group_name_Hall '-C 2 2'
_cell_length_a 5.7535
_cell_length_b 28.7608
_cell_length_c 4.0423
_cell_angle_alpha 90.00
_cell_angle_beta 90.00
_cell_angle_gamma 90.00
loop_
_atom_site_label
_atom_site_type_symbol
_atom_site_fract_x
_atom_site_fract_y
_atom_site_fract_z
_atom_site_occupancy
Ba1 Ba 0.0000 0.0000 0.0000 1
Ba2 Ba 0.0000 0.2001 0.0000 1
Ba3 Ba 0.0000 0.3986 0.0000 1
Ti1 Ti 0.0000 0.1004 0.5000 1
Ti2 Ti 0.0000 0.3000 0.5000 1
Mo1 Mo 0.0000 0.5000 0.5000 1
O1 O 0.0000 0.1001 0.0000 1
O2 O 0.0000 0.3001 0.0000 1
O3 O 0.0000 0.5000 0.0000 1
O4 O 0.2437 0.0514 0.5000 1
O5 O 0.2489 0.3497 0.5000 1
O6 O 0.2500 0.2500 0.5000 1

---

# WF5 (PBE+U, relaxed)
# Polymorph energy (0 for the lowest one) (meV/atom): 0
# Calculated formation energy (kJ/mol of formula units): -1573
data_WF5
_symmetry_space_group_name_H-M 'P 1 21/c 1'
_symmetry_Int_Tables_number 14
_symmetry_space_group_name_Hall '-P 2ybc'
_cell_length_a 5.6132
_cell_length_b 10.0145
_cell_length_c 7.9645
_cell_angle_alpha 90.00
_cell_angle_beta 110.95
_cell_angle_gamma 90.00
loop_
_atom_site_label
_atom_site_type_symbol
_atom_site_fract_x
_atom_site_fract_y
_atom_site_fract_z
_atom_site_occupancy
W1 W 0.1187 0.2485 0.4031 1
F1 F 0.1170 0.1972 0.6534 1
F2 F 0.1167 0.6101 0.2010 1
F3 F 0.1672 0.6368 0.6289 1
F4 F 0.3578 0.1170 0.0123 1
F5 F 0.4016 0.1323 0.4325 1

---

# SrCoP2O8 (PBE+U, relaxed)
# Calculated formation energy (kJ/mol of formula units): -2838
# Total moment (μB/f.u.): 3.0
data_SrCoP2O8
_symmetry_space_group_name_H-M 'P -1'
_symmetry_Int_Tables_number 2
_symmetry_space_group_name_Hall '-P 1'
_cell_length_a 6.0172
_cell_length_b 7.1682
_cell_length_c 8.9381
_cell_angle_alpha 109.59
_cell_angle_beta 102.81
_cell_angle_gamma 101.81
loop_
_atom_site_label
_atom_site_type_symbol
_atom_site_fract_x
_atom_site_fract_y
_atom_site_fract_z
_atom_site_occupancy
Sr1 Sr 0.2455 0.2249 0.4569 1
Co1 Co 0.1984 0.8236 0.0473 1
P1 P 0.0962 0.5770 0.2676 1
P2 P 0.3488 0.0269 0.8061 1
O1 O 0.0598 0.3963 0.0937 1
O2 O 0.1222 0.4512 0.6760 1
O3 O 0.1513 0.7882 0.2410 1
O4 O 0.1539 0.9325 0.8728 1
O5 O 0.2205 0.0118 0.6341 1
O6 O 0.3197 0.5676 0.3840 1
O7 O 0.4442 0.0804 0.1985 1
O8 O 0.4870 0.7496 0.0614 1

---

# KMo2P4O14 (PBE+U, relaxed)
# Calculated formation energy (kJ/mol of formula units): -5181
# Total moment (μB/f.u.): 5.0
data_KMo2P4O14
_symmetry_space_group_name_H-M 'P -1'
_symmetry_Int_Tables_number 2
_symmetry_space_group_name_Hall '-P 1'
_cell_length_a 4.9985
_cell_length_b 7.3949
_cell_length_c 8.2978
_cell_angle_alpha 90.22
_cell_angle_beta 93.07
_cell_angle_gamma 105.34
loop_
_atom_site_label
_atom_site_type_symbol
_atom_site_fract_x
_atom_site_fract_y
_atom_site_fract_z
_atom_site_occupancy
K1 K 0.0000 0.0000 0.0000 1
Mo1 Mo 0.0000 0.0000 0.5000 1
Mo2 Mo 0.5000 0.5000 0.0000 1
P1 P 0.0116 0.6153 0.7511 1
P2 P 0.3778 0.7587 0.3032 1
O1 O 0.0927 0.7923 0.6568 1
O2 O 0.1485 0.3524 0.0995 1
O3 O 0.1910 0.8922 0.3050 1
O4 O 0.1930 0.5494 0.3545 1
O5 O 0.2677 0.5490 0.8058 1
O6 O 0.3807 0.1998 0.5737 1
O7 O 0.4555 0.7384 0.1263 1

---

# Mo2P2O9 (PBE+U, relaxed)
# Calculated formation energy (kJ/mol of formula units): -2966
# Total moment (μB/f.u.): 4.0
data_Mo2P2O9
_symmetry_space_group_name_H-M 'P n m a'
_symmetry_Int_Tables_number 62
_symmetry_space_group_name_Hall '-P 2ac 2n'
_cell_length_a 14.5158
_cell_length_b 6.5470
_cell_length_c 7.9678
_cell_angle_alpha 90.00
_cell_angle_beta 90.00
_cell_angle_gamma 90.00
loop_
_atom_site_label
_atom_site_type_symbol
_atom_site_fract_x
_atom_site_fract_y
_atom_site_fract_z
_atom_site_occupancy
Mo1 Mo 0.0000 0.0000 0.0000 1
Mo2 Mo 0.1274 0.2500 0.3564 1
P1 P 0.0621 0.7500 0.3563 1
P2 P 0.1894 0.7500 0.8999 1
O1 O 0.0131 0.2500 0.5113 1
O2 O 0.0174 0.7500 0.1729 1
O3 O 0.0470 0.2500 0.1311 1
O4 O 0.1221 0.5588 0.3670 1
O5 O 0.1265 0.5578 0.9023 1
O6 O 0.2356 0.2500 0.5372 1
O7 O 0.2494 0.2500 0.2351 1

---

# MgFe4O8 (PBE+U, relaxed)
# Polymorph energy (0 for the lowest one) (meV/atom): 100
# Calculated formation energy (kJ/mol of formula units): -1931
# Total moment (μB/f.u.): 18.0
data_MgFe4O8
_symmetry_space_group_name_H-M 'P 1'
_symmetry_Int_Tables_number 1
_symmetry_space_group_name_Hall 'P 1'
_cell_length_a 3.0085
_cell_length_b 7.6952
_cell_length_c 8.0902
_cell_angle_alpha 83.94
_cell_angle_beta 80.19
_cell_angle_gamma 82.96
loop_
_atom_site_label
_atom_site_type_symbol
_atom_site_fract_x
_atom_site_fract_y
_atom_site_fract_z
_atom_site_occupancy
Mg1 Mg 0.0000 0.0000 0.0000 1
Fe1 Fe 0.3183 0.0860 0.3444 1
Fe2 Fe 0.3185 0.6843 0.9046 1
Fe3 Fe 0.6799 0.0639 0.6640 1
Fe4 Fe 0.8865 0.3546 0.9802 1
O1 O 0.1859 0.1993 0.5555 1
O2 O 0.1941 0.9069 0.7640 1
O3 O 0.2985 0.4826 0.0687 1
O4 O 0.5249 0.1867 0.8903 1
O5 O 0.5377 0.8219 0.0409 1
O6 O 0.8181 0.9497 0.4390 1
O7 O 0.8659 0.1662 0.1867 1
O8 O 0.9201 0.5641 0.8100 1

---

# Na2FeO3 (PBE+U, relaxed)
# Polymorph energy (0 for the lowest one) (meV/atom): 84
# Calculated formation energy (kJ/mol of formula units): -900
# Total moment (μB/f.u.): 0.0
data_Na2FeO3
_symmetry_space_group_name_H-M 'C m c e'
_symmetry_Int_Tables_number 64
_symmetry_space_group_name_Hall '-C 2ac 2'
_cell_length_a 5.5570
_cell_length_b 10.9381
_cell_length_c 11.1464
_cell_angle_alpha 90.00
_cell_angle_beta 90.00
_cell_angle_gamma 90.00
loop_
_atom_site_label
_atom_site_type_symbol
_atom_site_fract_x
_atom_site_fract_y
_atom_site_fract_z
_atom_site_occupancy
Na1 Na 0.0000 0.0365 0.1427 1
Na2 Na 0.0000 0.1244 0.5832 1
Fe1 Fe 0.0000 0.2416 0.3444 1
O1 O 0.0000 0.0788 0.3578 1
O2 O 0.0000 0.1557 0.9667 1
O3 O 0.2500 0.1994 0.7500 1

---

Number 1: calculated total energy -7.154 eV/atom. Number 2: calculated total energy -7.397 eV/atom. Number 3: calculated total energy -6.772 eV/atom. Number 4: calculated total energy -6.968 eV/atom. Number 5: calculated total energy -7.798 eV/atom. Number 6: calculated total energy -5.347 eV/atom. Number 7: calculated total energy -6.790 eV/atom. Number 8: calculated total energy -7.210 eV/atom. Number 9: calculated total energy -7.323 eV/atom. Number 10: calculated total energy -6.197 eV/atom. Number 11: calculated total energy -5.161 eV/atom.